P | This record from Materials Project describes a relaxed structure of Li7Co5O12. The functional is PBE with a Hubbard U.

a = 5.020 Å, b = 5.827 Å, c = 7.719 Å
α = 78.40°, β = 78.17°, γ = 73.19°
Fractional coordinates of all 24 atoms:
Li 0.000 0.000 0.000
Li 0.000 0.500 0.000
Li 0.002 0.164 0.330
Li 0.491 0.672 0.835
Li 0.500 0.000 0.500
Li 0.509 0.328 0.165
Li 0.998 0.836 0.670
Co 0.001 0.324 0.674
Co 0.495 0.838 0.162
Co 0.500 0.500 0.500
Co 0.505 0.162 0.838
Co 0.999 0.676 0.326
O 0.247 0.351 0.421
O 0.260 0.025 0.751
O 0.264 0.831 0.398
O 0.266 0.476 0.755
O 0.266 0.678 0.098
O 0.287 0.143 0.075
O 0.713 0.857 0.925
O 0.734 0.322 0.902
O 0.734 0.524 0.245
O 0.736 0.169 0.602
O 0.740 0.975 0.249
O 0.753 0.649 0.579

Magnetization, μB/f.u.: 0.4
Space-group type: No. 2

Q | This record from Materials Project describes a relaxed structure of Li7Co5O12. The functional is PBE with a Hubbard U.

a = 5.073 Å, b = 5.778 Å, c = 7.646 Å
α = 100.35°, β = 95.79°, γ = 107.22°
Fractional coordinates of all 24 atoms:
Li 0.000 0.000 0.000
Li 0.491 0.411 0.160
Li 0.497 0.082 0.838
Li 0.497 0.750 0.501
Li 0.503 0.250 0.499
Li 0.503 0.918 0.162
Li 0.509 0.589 0.840
Co 0.000 0.164 0.672
Co 0.000 0.500 0.000
Co 0.000 0.836 0.328
Co 0.002 0.671 0.675
Co 0.998 0.329 0.325
O 0.212 0.450 0.574
O 0.219 0.304 0.915
O 0.224 0.606 0.237
O 0.225 0.766 0.910
O 0.231 0.944 0.588
O 0.232 0.129 0.262
O 0.768 0.871 0.738
O 0.769 0.056 0.412
O 0.775 0.234 0.090
O 0.776 0.394 0.763
O 0.781 0.696 0.085
O 0.788 0.550 0.426

Magnetization, μB/f.u.: 0.0
Space-group type: No. 2

R | This record from Materials Project describes a relaxed structure of Li7Co5O12. The functional is PBE with a Hubbard U.

a = 7.648 Å, b = 7.648 Å, c = 10.099 Å
α = 107.87°, β = 107.87°, γ = 21.54°
Fractional coordinates of all 24 atoms:
Li 0.000 0.000 0.000
Li 0.166 0.166 0.248
Li 0.167 0.167 0.749
Li 0.499 0.499 0.755
Li 0.501 0.501 0.245
Li 0.833 0.833 0.251
Li 0.834 0.834 0.752
Co 0.000 0.000 0.500
Co 0.333 0.333 0.500
Co 0.336 0.336 0.996
Co 0.664 0.664 0.004
Co 0.667 0.667 0.500
O 0.080 0.080 0.385
O 0.096 0.096 0.892
O 0.245 0.245 0.104
O 0.247 0.247 0.619
O 0.407 0.407 0.884
O 0.422 0.422 0.385
O 0.578 0.578 0.615
O 0.593 0.593 0.116
O 0.753 0.753 0.381
O 0.755 0.755 0.896
O 0.904 0.904 0.108
O 0.920 0.920 0.615

Magnetization, μB/f.u.: 17.2
Space-group type: No. 12

Most stable structure - Q; separation to the second - 1.2 kJ/mol of atoms.